{"formula": "SrNdGaCuO5", "functional": "GGA-PBE", "state": "relaxed", "cell": [[3.870, -8.246, 0.000], [3.870, 8.246, 0.000], [-3.660, 0.000, 3.864]], "species": ["Sr", "Sr", "Nd", "Nd", "Ga", "Ga", "Cu", "Cu", "O", "O", "O", "O", "O", "O", "O", "O", "O", "O"], "frac_coords": [[0.138, 0.862, 0.000], [0.862, 0.138, 0.000], [0.308, 0.607, 0.956], [0.607, 0.308, 0.956], [0.553, 0.553, 0.517], [0.923, 0.923, 0.383], [0.233, 0.732, 0.483], [0.732, 0.233, 0.483], [0.166, 0.971, 0.597], [0.336, 0.540, 0.474], [0.488, 0.974, 0.480], [0.491, 0.980, 0.984], [0.540, 0.336, 0.474], [0.606, 0.606, 0.206], [0.865, 0.865, 0.971], [0.971, 0.166, 0.597], [0.974, 0.488, 0.480], [0.980, 0.491, 0.984]], "final_energy_ev_per_atom": -6.4794}